(w)
## Sr2GaCo2O7 (GGA+U)

Data for a relaxed structure of Sr2GaCo2O7.

Computed properties:
Symmetry = C2 (5)

Cell lengths 12.468, 12.468, 5.239 Å; angles 102.12, 102.12, 23.96 degrees
Fractional coordinates of all 24 atoms:
Sr 0.150 0.150 0.144
Sr 0.350 0.349 0.342
Sr 0.651 0.650 0.658
Sr 0.850 0.850 0.856
Ga 0.195 0.304 0.680
Ga 0.696 0.805 0.320
Co 0.062 0.061 0.561
Co 0.439 0.438 0.939
Co 0.562 0.561 0.061
Co 0.939 0.938 0.439
O 0.170 0.697 0.197
O 0.186 0.673 0.682
O 0.191 0.162 0.701
O 0.303 0.830 0.803
O 0.327 0.173 0.341
O 0.327 0.814 0.318
O 0.339 0.307 0.851
O 0.668 0.196 0.170
O 0.691 0.174 0.677
O 0.693 0.661 0.149
O 0.804 0.332 0.830
O 0.826 0.309 0.323
O 0.827 0.673 0.659
O 0.838 0.809 0.299

=====

(x)
## Sr2GaCo2O7 (GGA+U)

Data for a relaxed structure of Sr2GaCo2O7.

Computed properties:
Symmetry = P1 (1)

Cell lengths 5.176, 5.239, 12.465 Å; angles 102.13, 101.92, 90.02 degrees
Fractional coordinates of all 24 atoms:
Sr 0.000 0.000 0.000
Sr 0.201 0.200 0.401
Sr 0.500 0.484 0.000
Sr 0.701 0.686 0.401
Ga 0.155 0.662 0.201
Ga 0.656 0.023 0.202
Co 0.290 0.781 0.579
Co 0.409 0.900 0.819
Co 0.785 0.275 0.571
Co 0.912 0.405 0.825
O 0.013 0.494 0.054
O 0.017 0.033 0.560
O 0.023 0.004 0.201
O 0.048 0.537 0.566
O 0.160 0.655 0.837
O 0.161 0.641 0.349
O 0.175 0.158 0.835
O 0.512 0.048 0.056
O 0.516 0.007 0.559
O 0.524 0.683 0.202
O 0.548 0.513 0.569
O 0.663 0.191 0.352
O 0.665 0.666 0.843
O 0.674 0.161 0.827

=====

The least stable of them is (w).

=====

(w)
## SrGdCoO4 (GGA+U)

Data for a relaxed structure of SrGdCoO4.

Computed properties:
Symmetry = Cmcm (63)

Cell lengths 6.621, 6.621, 5.375 Å; angles 90.00, 90.00, 132.37 degrees
Fractional coordinates of all 14 atoms:
Sr 0.104 0.896 0.750
Sr 0.896 0.104 0.250
Gd 0.384 0.616 0.750
Gd 0.616 0.384 0.250
Co 0.251 0.749 0.250
Co 0.749 0.251 0.750
O 0.000 0.500 0.000
O 0.000 0.500 0.500
O 0.093 0.907 0.250
O 0.427 0.573 0.250
O 0.500 0.000 0.000
O 0.500 0.000 0.500
O 0.573 0.427 0.750
O 0.907 0.093 0.750

=====

(x)
## SrGdCoO4 (GGA+U)

Data for a relaxed structure of SrGdCoO4.

Computed properties:
Symmetry = I4mm (107)

Cell lengths 3.781, 3.781, 12.139 Å; angles 90.00, 90.00, 90.00 degrees
Fractional coordinates of all 14 atoms:
Sr 0.000 0.000 0.000
Sr 0.500 0.500 0.500
Gd 0.000 0.000 0.720
Gd 0.500 0.500 0.220
Co 0.000 0.000 0.362
Co 0.500 0.500 0.862
O 0.000 0.000 0.198
O 0.000 0.000 0.529
O 0.000 0.500 0.345
O 0.000 0.500 0.845
O 0.500 0.000 0.345
O 0.500 0.000 0.845
O 0.500 0.500 0.029
O 0.500 0.500 0.698

=====

The least stable of them is (w).

=====

(w)
## K2CoH4I4O14 (GGA+U)

Data for a relaxed structure of K2CoH4I4O14.

Computed properties:
Symmetry = P1 (1)

Cell lengths 8.045, 8.115, 11.631 Å; angles 88.47, 89.11, 87.81 degrees
Fractional coordinates of all 50 atoms:
K 0.000 0.000 0.000
K 0.238 0.238 0.762
K 0.500 0.500 0.500
K 0.739 0.739 0.262
Co 0.024 0.028 0.475
Co 0.527 0.526 0.975
H 0.181 0.274 0.352
H 0.193 0.101 0.272
H 0.278 0.375 0.097
H 0.451 0.354 0.173
H 0.682 0.775 0.851
H 0.696 0.602 0.772
H 0.779 0.875 0.597
H 0.951 0.855 0.673
I 0.002 0.473 0.509
I 0.227 0.755 0.262
I 0.270 0.713 0.770
I 0.452 0.009 0.509
I 0.501 0.973 0.009
I 0.726 0.255 0.763
I 0.769 0.213 0.269
I 0.952 0.509 0.008
O 0.017 0.258 0.566
O 0.056 0.789 0.793
O 0.058 0.812 0.364
O 0.073 0.340 0.078
O 0.154 0.155 0.344
O 0.180 0.462 0.408
O 0.234 0.951 0.179
O 0.242 0.553 0.664
O 0.244 0.959 0.569
O 0.290 0.574 0.899
O 0.329 0.969 0.907
O 0.399 0.398 0.101
O 0.413 0.773 0.351
O 0.492 0.181 0.602
O 0.513 0.759 0.065
O 0.555 0.289 0.293
O 0.555 0.313 0.863
O 0.574 0.840 0.578
O 0.656 0.656 0.844
O 0.679 0.963 0.908
O 0.734 0.450 0.679
O 0.742 0.053 0.163
O 0.744 0.460 0.066
O 0.790 0.075 0.398
O 0.829 0.468 0.408
O 0.899 0.899 0.601
O 0.912 0.273 0.851
O 0.991 0.681 0.102

=====

(x)
## K2CoH4I4O14 (GGA+U)

Data for a relaxed structure of K2CoH4I4O14.

Computed properties:
Symmetry = P1 (1)

Cell lengths 7.987, 8.095, 26.749 Å; angles 83.87, 81.42, 60.49 degrees
Fractional coordinates of all 100 atoms:
K 0.000 0.000 0.000
K 0.024 0.500 0.499
K 0.250 0.250 0.250
K 0.274 0.751 0.749
K 0.500 0.501 0.499
K 0.523 0.001 0.000
K 0.750 0.751 0.749
K 0.774 0.250 0.250
Co 0.072 0.130 0.624
Co 0.323 0.380 0.875
Co 0.573 0.625 0.125
Co 0.824 0.874 0.374
H 0.054 0.257 0.883
H 0.125 0.880 0.406
H 0.161 0.871 0.343
H 0.201 0.745 0.116
H 0.311 0.506 0.133
H 0.383 0.128 0.656
H 0.419 0.119 0.593
H 0.450 0.994 0.366
H 0.560 0.756 0.383
H 0.632 0.378 0.907
H 0.666 0.372 0.843
H 0.693 0.243 0.616
H 0.805 0.006 0.632
H 0.873 0.630 0.156
H 0.909 0.622 0.093
H 0.944 0.492 0.866
I 0.009 0.027 0.509
I 0.044 0.474 0.991
I 0.135 0.646 0.627
I 0.155 0.107 0.122
I 0.260 0.278 0.759
I 0.295 0.723 0.239
I 0.385 0.895 0.877
I 0.405 0.357 0.372
I 0.508 0.527 0.011
I 0.546 0.973 0.489
I 0.633 0.144 0.127
I 0.656 0.605 0.622
I 0.758 0.777 0.260
I 0.795 0.224 0.740
I 0.883 0.394 0.377
I 0.907 0.855 0.872
O 0.029 0.176 0.703
O 0.042 0.619 0.039
O 0.050 0.967 0.103
O 0.065 0.375 0.875
O 0.073 0.876 0.374
O 0.121 0.028 0.896
O 0.132 0.064 0.191
O 0.132 0.241 0.024
O 0.138 0.687 0.558
O 0.147 0.510 0.725
O 0.158 0.073 0.546
O 0.163 0.680 0.853
O 0.200 0.882 0.461
O 0.201 0.818 0.645
O 0.278 0.427 0.953
O 0.297 0.867 0.287
O 0.299 0.218 0.353
O 0.322 0.625 0.124
O 0.334 0.120 0.624
O 0.370 0.284 0.146
O 0.382 0.314 0.441
O 0.384 0.491 0.273
O 0.388 0.935 0.808
O 0.398 0.759 0.977
O 0.410 0.325 0.796
O 0.411 0.938 0.104
O 0.449 0.070 0.895
O 0.452 0.132 0.711
O 0.528 0.677 0.201
O 0.546 0.471 0.603
O 0.548 0.117 0.536
O 0.571 0.875 0.374
O 0.581 0.374 0.875
O 0.619 0.533 0.396
O 0.631 0.565 0.691
O 0.634 0.741 0.523
O 0.638 0.186 0.058
O 0.647 0.010 0.227
O 0.656 0.575 0.049
O 0.661 0.188 0.354
O 0.702 0.383 0.963
O 0.703 0.313 0.145
O 0.779 0.925 0.450
O 0.794 0.370 0.788
O 0.796 0.721 0.853
O 0.815 0.126 0.624
O 0.823 0.625 0.125
O 0.872 0.780 0.646
O 0.882 0.992 0.774
O 0.883 0.814 0.941
O 0.887 0.437 0.308
O 0.896 0.260 0.475
O 0.906 0.824 0.299
O 0.912 0.431 0.604
O 0.950 0.634 0.212
O 0.951 0.563 0.395

=====

The least stable of them is (x).